(1)
{"formula": "KMgMn16O32", "functional": "GGA+U", "state": "optimized geometry", "lattice": [[3.170, 4.997, 0.260], [-8.061, 4.922, 3.394], [2.671, -2.187, 9.644]], "species": ["Mn", "Mn", "Mn", "Mn", "Mn", "Mn", "Mn", "Mn", "Mn", "Mn", "Mn", "Mn", "Mn", "Mn", "Mn", "Mn", "O", "O", "O", "O", "O", "O", "O", "O", "O", "O", "O", "O", "O", "O", "O", "O", "O", "O", "O", "O", "O", "O", "O", "O", "O", "O", "O", "O", "O", "O", "O", "O", "K", "Mg"], "frac_coords": [[0.002, 0.349, 0.837], [0.753, 0.839, 0.324], [0.747, 0.335, 0.143], [0.748, 0.664, 0.849], [0.255, 0.160, 0.669], [0.252, 0.335, 0.144], [0.502, 0.350, 0.836], [0.001, 0.819, 0.664], [0.252, 0.664, 0.849], [0.502, 0.829, 0.640], [0.001, 0.180, 0.328], [0.502, 0.650, 0.157], [0.002, 0.650, 0.155], [0.502, 0.170, 0.353], [0.256, 0.840, 0.324], [0.753, 0.160, 0.668], [0.761, 0.696, 0.661], [0.004, 0.839, 0.201], [0.749, 0.331, 0.955], [0.000, 0.792, 0.847], [0.236, 0.039, 0.349], [0.234, 0.307, 0.331], [0.236, 0.693, 0.662], [0.753, 0.648, 0.282], [0.500, 0.792, 0.833], [0.504, 0.158, 0.793], [0.004, 0.812, 0.452], [0.504, 0.841, 0.200], [0.501, 0.542, 0.839], [0.003, 0.160, 0.792], [0.775, 0.035, 0.350], [0.503, 0.824, 0.448], [0.759, 0.302, 0.332], [0.750, 0.668, 0.037], [0.252, 0.649, 0.282], [0.000, 0.207, 0.146], [0.000, 0.458, 0.151], [0.753, 0.351, 0.710], [0.252, 0.350, 0.710], [0.254, 0.667, 0.037], [0.499, 0.207, 0.159], [0.235, 0.961, 0.644], [0.503, 0.175, 0.545], [0.774, 0.963, 0.643], [0.254, 0.332, 0.955], [0.000, 0.541, 0.842], [0.501, 0.457, 0.154], [0.004, 0.187, 0.540], [0.001, 0.500, 0.496], [0.006, 0.999, 0.496]], "relative_energy_mev_per_atom": 36, "space_group": "No. 1", "m_tot_mub_per_cell": 51.0}



(2)
{"formula": "K4MgMn4O8", "functional": "GGA+U", "state": "optimized geometry", "lattice": [[-1.321, -5.493, -2.615], [-5.397, -0.152, 3.106], [0.963, 6.753, -5.582]], "species": ["K", "K", "K", "K", "O", "O", "O", "O", "O", "O", "O", "O", "Mn", "Mn", "Mn", "Mn", "Mg"], "frac_coords": [[0.447, 0.422, 0.470], [0.656, 0.111, 0.157], [0.079, 0.050, 0.028], [0.386, 0.848, 0.344], [0.801, 0.241, 0.562], [0.225, 0.238, 0.571], [0.261, 0.273, 0.926], [0.799, 0.814, 0.611], [0.687, 0.700, 0.889], [0.721, 0.271, 0.935], [0.260, 0.697, 0.937], [0.228, 0.779, 0.564], [0.934, 0.447, 0.871], [0.052, 0.566, 0.628], [0.470, 0.468, 0.900], [0.030, 0.031, 0.599], [0.584, 0.916, 0.750]], "relative_energy_mev_per_atom": 31, "space_group": "No. 1", "m_tot_mub_per_cell": 18.0}



(3)
{"formula": "K4MgMn4O8", "functional": "GGA+U", "state": "optimized geometry", "lattice": [[-0.721, 2.329, -1.892], [-6.377, -1.557, 0.509], [-3.695, 7.641, 10.731]], "species": ["K", "K", "K", "K", "O", "O", "O", "O", "O", "O", "O", "O", "Mn", "Mn", "Mn", "Mn", "Mg"], "frac_coords": [[0.749, 0.501, 0.843], [0.243, 0.436, 0.099], [0.752, 0.021, 0.365], [0.250, 0.068, 0.658], [0.749, 0.740, 0.641], [0.253, 0.353, 0.336], [0.750, 0.396, 0.581], [0.249, 0.814, 0.958], [0.746, 0.155, 0.039], [0.252, 0.692, 0.425], [0.250, 0.165, 0.837], [0.755, 0.770, 0.198], [0.749, 0.009, 0.908], [0.250, 0.595, 0.592], [0.246, 0.952, 0.096], [0.752, 0.449, 0.428], [0.255, 0.654, 0.281]], "relative_energy_mev_per_atom": 21, "space_group": "No. 1", "m_tot_mub_per_cell": 18.0}